# 1
! Hf2OsRu, relaxed, DFT r2SCAN; values from VASP
! Total energy, eV per atom: -43.060
! ΔH_f (0 K), eV per atom: -0.882
! Space group: Fm-3m, No. 225
&SYSTEM
  ibrav = 0, nat = 4, ntyp = 3
/
ATOMIC_SPECIES
Ru 101.07 Ru.upf
Hf 178.49 Hf.upf
Os 190.23 Os.upf
ATOMIC_POSITIONS crystal
Ru 0.000 0.000 0.000
Hf 0.250 0.250 0.250
Hf 0.750 0.750 0.750
Os 0.500 0.500 0.500
CELL_PARAMETERS angstrom
0.000 3.233 3.233
3.233 0.000 3.233
3.233 3.233 0.000

# 2
! Dy, relaxed, DFT r2SCAN; values from VASP
! Total energy, eV per atom: -31.939
! ΔH_f (0 K), eV per atom: 0.043
! Space group: Cmmm, No. 65
&SYSTEM
  ibrav = 0, nat = 4, ntyp = 1
/
ATOMIC_SPECIES
Dy 162.50 Dy.upf
ATOMIC_POSITIONS crystal
Dy 0.000 0.251 0.749
Dy 0.000 0.749 0.251
Dy 0.500 0.249 0.249
Dy 0.500 0.751 0.751
CELL_PARAMETERS angstrom
3.542 0.000 0.000
0.000 5.800 -2.028
0.000 -0.028 6.144

# 3
! GdErCo4, relaxed, DFT r2SCAN; values from VASP
! Total energy, eV per atom: -21.840
! ΔH_f (0 K), eV per atom: -0.130
! Space group: F-43m, No. 216
&SYSTEM
  ibrav = 0, nat = 6, ntyp = 3
/
ATOMIC_SPECIES
Co 58.93 Co.upf
Er 167.26 Er.upf
Gd 157.25 Gd.upf
ATOMIC_POSITIONS crystal
Co 0.875 0.374 0.875
Co 0.875 0.875 0.875
Co 0.875 0.875 0.374
Co 0.374 0.875 0.875
Er 0.250 0.250 0.250
Gd 0.500 0.500 0.500
CELL_PARAMETERS angstrom
-4.841 -1.448 0.203
-2.263 -0.637 4.477
-3.553 3.260 1.524

# 4
! NbRh, relaxed, DFT r2SCAN; values from VASP
! Total energy, eV per atom: -24.837
! ΔH_f (0 K), eV per atom: -0.402
! Space group: P2/m, No. 10
&SYSTEM
  ibrav = 0, nat = 6, ntyp = 2
/
ATOMIC_SPECIES
Nb 92.91 Nb.upf
Rh 102.91 Rh.upf
ATOMIC_POSITIONS crystal
Nb 0.000 0.745 0.665
Nb 0.000 0.255 0.335
Nb 0.000 0.000 0.000
Rh 0.500 0.500 0.000
Rh 0.500 0.256 0.668
Rh 0.500 0.744 0.332
CELL_PARAMETERS angstrom
2.848 0.000 0.000
0.000 4.889 0.014
0.000 1.693 6.845

# 5
! CeSiRu, relaxed, DFT r2SCAN; values from VASP
! Total energy, eV per atom: -22.516
! ΔH_f (0 K), eV per atom: -0.836
! Space group: P4/nmm, No. 129
&SYSTEM
  ibrav = 0, nat = 6, ntyp = 3
/
ATOMIC_SPECIES
Ce 140.12 Ce.upf
Si 28.09 Si.upf
Ru 101.07 Ru.upf
ATOMIC_POSITIONS crystal
Ce 0.250 0.250 0.680
Ce 0.750 0.750 0.320
Si 0.250 0.250 0.174
Si 0.750 0.750 0.826
Ru 0.250 0.750 0.000
Ru 0.750 0.250 0.000
CELL_PARAMETERS angstrom
4.215 0.000 0.000
0.000 4.215 0.000
0.000 0.000 6.899

# 6
! Y2In, relaxed, DFT r2SCAN; values from VASP
! Total energy, eV per atom: -21.563
! ΔH_f (0 K), eV per atom: -0.495
! Space group: P6_3/mmc, No. 194
&SYSTEM
  ibrav = 0, nat = 6, ntyp = 2
/
ATOMIC_SPECIES
Y 88.91 Y.upf
In 114.82 In.upf
ATOMIC_POSITIONS crystal
Y 0.667 0.333 0.250
Y 0.000 0.000 0.000
Y 0.000 0.000 0.500
Y 0.333 0.667 0.750
In 0.667 0.333 0.750
In 0.333 0.667 0.250
CELL_PARAMETERS angstrom
-1.732 4.336 -2.700
-2.613 -4.695 -0.475
-3.960 1.675 5.230